The following is a DFT calculation (PBE) of a relaxed structure of Pr23Mg4Ru7.

Structure (POSCAR):
```
Pr23Mg4Ru7
1.0
10.1292 0.0000 0.0000
-5.0646 8.7721 0.0000
0.0000 0.0000 22.8015
Pr Mg Ru
46 8 14
Direct
0.0000 0.0000 0.1326
0.0000 0.0000 0.6326
0.0811 0.5406 0.2793
0.0827 0.5413 0.5502
0.1271 0.2541 0.0000
0.1271 0.8729 0.0000
0.2078 0.4156 0.6865
0.2079 0.4158 0.8539
0.2078 0.7922 0.6865
0.2079 0.7921 0.8539
0.2086 0.4173 0.1431
0.2085 0.4171 0.4164
0.2086 0.7914 0.1431
0.2085 0.7915 0.4164
0.2541 0.1271 0.5000
0.3333 0.6667 0.9899
0.4156 0.2078 0.1865
0.4158 0.2079 0.3539
0.4173 0.2086 0.6431
0.4171 0.2085 0.9164
0.4594 0.5406 0.2793
0.4587 0.5413 0.5502
0.4587 0.9173 0.5502
0.4594 0.9189 0.2793
0.5406 0.0811 0.7793
0.5413 0.0827 0.0502
0.5413 0.4587 0.0502
0.5406 0.4594 0.7793
0.5827 0.7914 0.1431
0.5829 0.7915 0.4164
0.5844 0.7922 0.6865
0.5842 0.7921 0.8539
0.6667 0.3333 0.4899
0.7459 0.8729 0.0000
0.7914 0.2086 0.6431
0.7915 0.2085 0.9164
0.7914 0.5827 0.6431
0.7915 0.5829 0.9164
0.7922 0.2078 0.1865
0.7921 0.2079 0.3539
0.7922 0.5844 0.1865
0.7921 0.5842 0.3539
0.8729 0.1271 0.5000
0.8729 0.7459 0.5000
0.9173 0.4587 0.0502
0.9189 0.4594 0.7793
0.0000 0.0000 0.3838
0.0000 0.0000 0.8838
0.1048 0.2097 0.2719
0.1048 0.8952 0.2719
0.2097 0.1048 0.7719
0.7903 0.8952 0.2719
0.8952 0.1048 0.7719
0.8952 0.7903 0.7719
0.0348 0.5174 0.9255
0.1470 0.2940 0.5734
0.1470 0.8530 0.5734
0.2940 0.1470 0.0734
0.3333 0.6667 0.7671
0.4826 0.5174 0.9255
0.4826 0.9652 0.9255
0.5174 0.0348 0.4255
0.5174 0.4826 0.4255
0.6667 0.3333 0.2671
0.7060 0.8530 0.5734
0.8530 0.1470 0.0734
0.8530 0.7060 0.0734
0.9652 0.4826 0.4255
```

Properties
Raw total energy: -5.5054 eV per atom
Energy of formation from the pure elements: -5.9 eV per formula unit


The following is a DFT calculation (PBE) of a relaxed structure of Nb3S4.

Structure (POSCAR):
```
Nb3S4
1.0
3.3111 0.0000 0.0000
-1.6555 2.8675 0.0000
0.0000 0.0000 13.1069
Nb S
3 4
Direct
0.0000 0.0000 0.0000
0.0000 0.0000 0.2547
0.0000 0.0000 0.7453
0.3333 0.6667 0.6246
0.3333 0.6667 0.8713
0.6667 0.3333 0.1287
0.6667 0.3333 0.3754
```

Properties
Raw total energy: -7.7336 eV per atom
Energy of formation from the pure elements: -9.3 eV per formula unit


The following is a DFT calculation (PBE) of a relaxed structure of Mg6FeCo.

Structure (POSCAR):
```
Mg6FeCo
1.0
4.6271 0.0000 0.0000
0.0000 5.8460 0.0000
0.0000 0.0000 10.1740
Co Mg Fe
2 12 2
Direct
0.5000 0.0000 0.6701
0.5000 0.5000 0.1701
0.5000 0.2495 0.4182
0.0000 0.5000 0.8226
0.5000 0.7495 0.9182
0.5000 0.2505 0.9182
0.0000 0.7489 0.5891
0.0000 0.5000 0.3228
0.0000 0.0000 0.8228
0.5000 0.7505 0.4182
0.0000 0.0000 0.3226
0.0000 0.2511 0.5891
0.0000 0.7511 0.0891
0.0000 0.2489 0.0891
0.5000 0.5000 0.6699
0.5000 0.0000 0.1699
```

Properties
Raw total energy: -2.9135 eV per atom
Energy of formation from the pure elements: 1.9 eV per formula unit


The following is a DFT calculation (PBE) of a relaxed structure of CaCeZn2.

Structure (POSCAR):
```
CaCeZn2
1.0
0.0000 3.6475 3.6475
3.6475 0.0000 3.6475
3.6475 3.6475 0.0000
Ca Ce Zn
1 1 2
Direct
0.0000 0.0000 0.0000
0.5000 0.5000 0.5000
0.2500 0.2500 0.2500
0.7500 0.7500 0.7500
```

Properties
Raw total energy: -2.8432 eV per atom
Energy of formation from the pure elements: -0.9 eV per formula unit


The following is a DFT calculation (PBE) of a relaxed structure of Ba6Pr2YCu12O24.

Structure (POSCAR):
```
Ba6Pr2YCu12O24
1.0
4.3921 -13.8671 0.0000
4.3921 13.8671 0.0000
-1.8054 0.0000 5.2448
Ba Pr Y Cu O
6 2 1 12 24
Direct
0.1352 0.8648 0.0000
0.1973 0.4704 0.6666
0.4704 0.1973 0.6666
0.5296 0.8027 0.3334
0.8027 0.5296 0.3334
0.8648 0.1352 0.0000
0.3325 0.3325 0.6663
0.6675 0.6675 0.3337
0.0000 0.0000 0.0000
0.0625 0.9375 0.5000
0.1201 0.5457 0.1667
0.2126 0.7874 0.5000
0.2692 0.3952 0.1659
0.3952 0.2692 0.1659
0.4543 0.8799 0.8333
0.5457 0.1201 0.1667
0.6048 0.7308 0.8341
0.7308 0.6048 0.8341
0.7874 0.2126 0.5000
0.8799 0.4543 0.8333
0.9375 0.0625 0.5000
0.0520 0.6137 0.1670
0.1090 0.2178 0.3258
0.1096 0.2150 0.8367
0.1461 0.8539 0.5000
0.1868 0.4794 0.1663
0.2150 0.1096 0.8367
0.2178 0.1090 0.3258
0.2808 0.7192 0.5000
0.3863 0.9480 0.8330
0.4433 0.5567 0.0000
0.4448 0.5552 0.5000
0.4794 0.1868 0.1663
0.5206 0.8132 0.8337
0.5552 0.4448 0.5000
0.5567 0.4433 0.0000
0.6137 0.0520 0.1670
0.7192 0.2808 0.5000
0.7822 0.8910 0.6742
0.7850 0.8904 0.1633
0.8132 0.5206 0.8337
0.8539 0.1461 0.5000
0.8904 0.7850 0.1633
0.8910 0.7822 0.6742
0.9480 0.3863 0.8330
```

Properties
Raw total energy: -5.9969 eV per atom
Energy of formation from the pure elements: -90.9 eV per formula unit


The following is a DFT calculation (PBE) of a relaxed structure of Na7Cu3O8.

Structure (POSCAR):
```
Na7Cu3O8
1.0
5.5107 0.0000 0.0000
-0.0242 6.5304 0.0000
-2.3647 -2.0643 6.7325
Na Cu O
7 3 8
Direct
0.0000 0.0000 0.0000
0.2367 0.3934 0.4571
0.2717 0.4159 0.8854
0.4381 0.8394 0.7783
0.5619 0.1606 0.2217
0.7283 0.5841 0.1146
0.7633 0.6066 0.5429
0.0000 0.0000 0.5000
0.2733 0.7586 0.2667
0.7267 0.2414 0.7333
0.1054 0.7243 0.4469
0.1513 0.0293 0.3187
0.3767 0.8091 0.0699
0.3984 0.4968 0.2397
0.6016 0.5032 0.7603
0.6233 0.1909 0.9301
0.8487 0.9707 0.6813
0.8946 0.2757 0.5531
```

Properties
Raw total energy: -4.5192 eV per atom
Energy of formation from the pure elements: -25.7 eV per formula unit


Look up the energy of formation from the pure elements of the second one. -9.3 eV per formula unit


Which value of raw total energy does entry 5 give? -5.9969 eV per atom


Among the records above, which one has the highest raw total energy? CaCeZn2


energy of formation from the pure elements of number 4 (CaCeZn2)? -0.9 eV per formula unit